Sm5Sn3 after structural relaxation. Source: the Materials Project, functional r2SCAN.

Summary:
The space group is P6_3/mcm (193).

a b c (Å): 6.7638 9.1555 9.1554
angles (deg): 120.00 90.00 90.00
Closest atoms and distances in Å follow each position.
Sites, in units of the cell vectors:
1 Sm 0.5000 0.3333 0.6667  6 Sn 3.28, 2 Sm 3.38
2 Sm 0.5000 0.6667 0.3333  6 Sn 3.28, 2 Sm 3.38
3 Sm 0.0000 0.6667 0.3333  6 Sn 3.28, 2 Sm 3.38
4 Sm 0.0000 0.3333 0.6667  6 Sn 3.28, 2 Sm 3.38
5 Sm 0.7500 0.2404 0.0000  3 Sn 3.15-3.35
6 Sm 0.7500 0.7597 0.7596  3 Sn 3.15-3.35
7 Sm 0.7500 0.0000 0.2404  3 Sn 3.15-3.35
8 Sm 0.2500 0.7596 0.0000  3 Sn 3.15-3.35
9 Sm 0.2500 0.2403 0.2404  3 Sn 3.15-3.35
10 Sm 0.2500 0.0000 0.7596  3 Sn 3.15-3.35
11 Sn 0.7500 0.6057 0.0000  7 Sm 3.15-3.35
12 Sn 0.7500 0.3943 0.3943  7 Sm 3.15-3.35
13 Sn 0.7500 0.0000 0.6057  7 Sm 3.15-3.35
14 Sn 0.2500 0.3942 0.0000  7 Sm 3.15-3.35
15 Sn 0.2500 0.6057 0.6057  7 Sm 3.15-3.35
16 Sn 0.2500 0.0000 0.3943  7 Sm 3.15-3.35

---

ErSnIr after structural relaxation. Source: the Materials Project, functional r2SCAN.

Summary:
The space group is P-62m (189).

a b c (Å): 7.4190 7.4190 3.9005
angles (deg): 90.00 90.00 120.00
Closest atoms and distances in Å follow each position.
Sites, in units of the cell vectors:
1 Er 0.4052 0.4052 0.5000  5 Ir 2.98-3.01, 6 Sn 3.15-3.28
2 Er 0.5948 0.0000 0.5000  5 Ir 2.98-3.01, 6 Sn 3.15-3.28
3 Er 0.0000 0.5948 0.5000  5 Ir 2.98-3.01, 6 Sn 3.15-3.28
4 Sn 0.7394 0.7394 0.0000  4 Ir 2.75-2.78
5 Sn 0.2606 0.0000 0.0000  4 Ir 2.75-2.78
6 Sn 0.0000 0.2606 0.0000  4 Ir 2.75-2.78
7 Ir 0.6667 0.3333 0.0000  3 Sn 2.78, 6 Er 2.98
8 Ir 0.3333 0.6667 0.0000  3 Sn 2.78, 6 Er 2.98
9 Ir 0.0000 0.0000 0.5000  6 Sn 2.75, 3 Er 3.01

---

Ho4CdNi after structural relaxation. Source: the Materials Project, functional r2SCAN.

Summary:
The space group is F-43m (216).

a b c (Å): 9.4455 9.4455 9.4455
angles (deg): 60.00 60.00 60.00
Closest atoms and distances in Å follow each position.
Sites, in units of the cell vectors:
1 Ho 0.3488 0.3488 0.3488  3 Ni 2.76
2 Ho 0.3488 0.3488 0.9536  3 Ni 2.76
3 Ho 0.3488 0.9536 0.3488  3 Ni 2.76
4 Ho 0.9536 0.3488 0.3488  3 Ni 2.76
5 Ho 0.8110 0.1890 0.1890  2 Ni 2.76
6 Ho 0.1890 0.8110 0.8110  2 Ni 2.76
7 Ho 0.1890 0.8110 0.1890  2 Ni 2.76
8 Ho 0.8110 0.1890 0.8110  2 Ni 2.76
9 Ho 0.1890 0.1890 0.8110  2 Ni 2.76
10 Ho 0.8110 0.8110 0.1890  2 Ni 2.76
11 Ho 0.9366 0.5634 0.5634  2 Cd 3.20, 2 Ni 3.42, 10 Ho 3.42-3.54
12 Ho 0.5634 0.9366 0.9366  2 Cd 3.20-3.21, 2 Ni 3.42, 10 Ho 3.42-3.54
13 Ho 0.5634 0.9366 0.5634  2 Cd 3.20, 2 Ni 3.42, 10 Ho 3.42-3.54
14 Ho 0.9366 0.5634 0.9366  2 Cd 3.20, 2 Ni 3.42, 10 Ho 3.42-3.54
15 Ho 0.5634 0.5634 0.9366  2 Cd 3.20, 2 Ni 3.42, 10 Ho 3.42-3.54
16 Ho 0.9366 0.9366 0.5634  2 Cd 3.20-3.21, 2 Ni 3.42, 10 Ho 3.42-3.54
17 Cd 0.5808 0.5808 0.5808  3 Cd 3.05, 6 Ho 3.20-3.37
18 Cd 0.5808 0.5808 0.2576  3 Cd 3.05, 6 Ho 3.20-3.37
19 Cd 0.5808 0.2576 0.5808  3 Cd 3.05, 6 Ho 3.20-3.37
20 Cd 0.2576 0.5808 0.5808  3 Cd 3.05, 6 Ho 3.20-3.37
21 Ni 0.1425 0.1425 0.1425  6 Ho 2.76
22 Ni 0.1425 0.1425 0.5725  6 Ho 2.76
23 Ni 0.1425 0.5725 0.1425  6 Ho 2.76
24 Ni 0.5725 0.1425 0.1425  6 Ho 2.76

---

Ag2Mo2O7 after structural relaxation. Source: the Materials Project, functional r2SCAN.

Summary:
The space group is P-1 (2).

a b c (Å): 6.0698 7.6714 7.4999
angles (deg): 111.60 113.09 92.62
Closest atoms and distances in Å follow each position.
Sites, in units of the cell vectors:
1 Ag 0.2260 0.0429 0.7254  3 O 2.24-2.45
2 Ag 0.7740 0.9571 0.2746  3 O 2.24-2.45
3 Ag 0.7915 0.2724 0.7812  4 O 2.26-2.45
4 Ag 0.2085 0.7276 0.2188  4 O 2.26-2.45
5 Mo 0.2415 0.5443 0.7309  4 O 1.74-1.93
6 Mo 0.7585 0.4557 0.2691  4 O 1.74-1.93
7 Mo 0.6719 0.7524 0.6776  3 O 1.71-1.84
8 Mo 0.3281 0.2476 0.3224  3 O 1.71-1.84
9 O 0.2512 0.0659 0.3900  1 Mo 1.75
10 O 0.7488 0.9341 0.6100  1 Mo 1.75
11 O 0.0747 0.3923 0.3774  2 Mo 1.93-2.02
12 O 0.9253 0.6077 0.6226  2 Mo 1.93-2.02
13 O 0.6424 0.2311 0.3572  1 Mo 1.84
14 O 0.3576 0.7689 0.6428  1 Mo 1.84
15 O 0.4937 0.5312 0.3328  1 Mo 1.91
16 O 0.5063 0.4688 0.6672  1 Mo 1.91
17 O 0.3746 0.7165 0.9935  1 Mo 1.74
18 O 0.6254 0.2835 0.0065  1 Mo 1.74
19 O 0.8338 0.8363 0.9495  1 Mo 1.71
20 O 0.1662 0.1637 0.0505  1 Mo 1.71
21 O 0.1384 0.3381 0.7489  1 Mo 1.75
22 O 0.8616 0.6619 0.2511  1 Mo 1.75

---

Going through the records in order, we get VASP energy values of -28.70, -37.96, -27.60, -14.05 eV/atom.